# 1
VASP calculation (PBE-GGA) on a relaxed structure of U4Ga20Pt11.

Output
For the volume, the calculation gives 17.48 Å³/atom. Its spin magnetization is 0.229 μB/atom. The calculation puts the calculated total energy at -5.515 eV/atom.

Cell: 10.966 10.966 16.549 Å, 124.13 124.13 22.01°
Sites, in units of the cell vectors:
U 0.121 0.121 0.334
U 0.225 0.225 0.820
U 0.775 0.775 0.180
U 0.879 0.879 0.666
Ga 0.007 0.007 0.086
Ga 0.065 0.065 0.801
Ga 0.102 0.102 0.546
Ga 0.201 0.201 0.008
Ga 0.256 0.256 0.295
Ga 0.301 0.301 0.503
Ga 0.366 0.366 0.797
Ga 0.388 0.388 0.302
Ga 0.398 0.398 0.002
Ga 0.456 0.456 0.626
Ga 0.544 0.544 0.374
Ga 0.602 0.602 0.998
Ga 0.612 0.612 0.698
Ga 0.634 0.634 0.203
Ga 0.699 0.699 0.497
Ga 0.744 0.744 0.705
Ga 0.799 0.799 0.992
Ga 0.898 0.898 0.454
Ga 0.935 0.935 0.199
Ga 0.993 0.993 0.914
Pt 0.028 0.028 0.629
Pt 0.136 0.136 0.107
Pt 0.241 0.241 0.611
Pt 0.345 0.345 0.110
Pt 0.494 0.494 0.815
Pt 0.500 0.500 0.500
Pt 0.506 0.506 0.185
Pt 0.655 0.655 0.890
Pt 0.759 0.759 0.389
Pt 0.864 0.864 0.893
Pt 0.972 0.972 0.371



# 2
VASP calculation (PBE-GGA) on a relaxed structure of Y6Ga17Pt5.

Output
For the volume, the calculation gives 18.46 Å³/atom. Its spin magnetization is 0.002 μB/atom. The calculation puts the calculated total energy at -5.027 eV/atom.

Cell: 8.119 8.119 15.640 Å, 102.80 102.80 31.01°
Sites, in units of the cell vectors:
Y 0.094 0.094 0.403
Y 0.250 0.250 0.252
Y 0.399 0.399 0.100
Y 0.601 0.601 0.900
Y 0.750 0.750 0.748
Y 0.906 0.906 0.597
Ga 0.000 0.000 0.000
Ga 0.040 0.040 0.178
Ga 0.107 0.107 0.766
Ga 0.179 0.179 0.039
Ga 0.239 0.239 0.892
Ga 0.267 0.267 0.604
Ga 0.327 0.327 0.459
Ga 0.397 0.397 0.737
Ga 0.458 0.458 0.327
Ga 0.542 0.542 0.673
Ga 0.603 0.603 0.263
Ga 0.673 0.673 0.541
Ga 0.733 0.733 0.396
Ga 0.761 0.761 0.108
Ga 0.821 0.821 0.961
Ga 0.893 0.893 0.234
Ga 0.960 0.960 0.822
Pt 0.104 0.104 0.602
Pt 0.407 0.407 0.906
Pt 0.500 0.500 0.500
Pt 0.593 0.593 0.094
Pt 0.896 0.896 0.398



# 3
VASP calculation (PBE-GGA) on a relaxed structure of Y4Ga12Pt.

Output
For the volume, the calculation gives 19.14 Å³/atom. The calculation puts the calculated total energy at -4.650 eV/atom.

Cell: 7.504 7.504 7.504 Å, 109.47 109.47 109.47°
Sites, in units of the cell vectors:
Y 0.000 0.000 0.500
Y 0.000 0.500 0.000
Y 0.500 0.000 0.000
Y 0.500 0.500 0.500
Ga 0.000 0.297 0.297
Ga 0.000 0.703 0.703
Ga 0.250 0.500 0.750
Ga 0.250 0.750 0.500
Ga 0.297 0.000 0.297
Ga 0.297 0.297 0.000
Ga 0.500 0.250 0.750
Ga 0.500 0.750 0.250
Ga 0.703 0.000 0.703
Ga 0.703 0.703 0.000
Ga 0.750 0.250 0.500
Ga 0.750 0.500 0.250
Pt 0.000 0.000 0.000



# 4
VASP calculation (PBE-GGA) on a relaxed structure of Y3Ga9Pt2.

Output
For the volume, the calculation gives 18.65 Å³/atom. Its spin magnetization is 0.000 μB/atom. The calculation puts the calculated total energy at -4.877 eV/atom.

Cell: 8.220 8.220 8.220 Å, 149.80 107.57 80.43°
Sites, in units of the cell vectors:
Y 0.000 0.000 0.000
Y 0.305 0.305 0.000
Y 0.695 0.695 0.000
Ga 0.026 0.656 0.369
Ga 0.144 0.862 0.282
Ga 0.287 0.656 0.631
Ga 0.420 0.138 0.282
Ga 0.500 0.000 0.500
Ga 0.580 0.862 0.718
Ga 0.713 0.344 0.369
Ga 0.856 0.138 0.718
Ga 0.974 0.344 0.631
Pt 0.307 0.500 0.807
Pt 0.693 0.500 0.193



# 5
VASP calculation (PBE-GGA) on a relaxed structure of YGaPt.

Output
For the volume, the calculation gives 19.79 Å³/atom. The calculation puts the calculated total energy at -6.291 eV/atom.

Cell: 6.931 4.448 7.704 Å, 90.00 90.00 90.00°
Sites, in units of the cell vectors:
Y 0.012 0.250 0.198
Y 0.488 0.750 0.698
Y 0.512 0.250 0.302
Y 0.988 0.750 0.802
Ga 0.172 0.250 0.574
Ga 0.328 0.750 0.074
Ga 0.672 0.250 0.926
Ga 0.828 0.750 0.426
Pt 0.224 0.750 0.400
Pt 0.276 0.250 0.900
Pt 0.724 0.750 0.100
Pt 0.776 0.250 0.600



# 6
VASP calculation (PBE-GGA) on a relaxed structure of PuGa4.

Output
For the volume, the calculation gives 18.43 Å³/atom. The calculation puts the calculated total energy at -5.594 eV/atom.

Cell: 7.919 7.919 7.919 Å, 148.39 134.54 56.43°
Sites, in units of the cell vectors:
Pu 0.359 0.109 0.250
Pu 0.641 0.891 0.750
Ga 0.000 0.500 0.500
Ga 0.146 0.896 0.250
Ga 0.185 0.699 0.486
Ga 0.288 0.301 0.986
Ga 0.500 0.500 0.000
Ga 0.712 0.699 0.014
Ga 0.815 0.301 0.514
Ga 0.854 0.104 0.750



# 7
VASP calculation (PBE-GGA) on a relaxed structure of Pu3Ga.

Output
For the volume, the calculation gives 17.63 Å³/atom. Its spin magnetization is 2.955 μB/atom. The calculation puts the calculated total energy at -11.167 eV/atom.

Cell: 4.132 4.132 4.132 Å, 90.00 90.00 90.00°
Sites, in units of the cell vectors:
Pu 0.000 0.000 0.500
Pu 0.000 0.500 0.000
Pu 0.500 0.000 0.000
Ga 0.500 0.500 0.500



# 8
VASP calculation (PBE-GGA) on a relaxed structure of PuGa3.

Output
For the volume, the calculation gives 18.66 Å³/atom. The calculation puts the calculated total energy at -6.209 eV/atom.

Cell: 6.118 6.118 4.607 Å, 90.00 90.00 120.00°
Sites, in units of the cell vectors:
Pu 0.333 0.667 0.250
Pu 0.667 0.333 0.750
Ga 0.156 0.312 0.750
Ga 0.156 0.844 0.750
Ga 0.312 0.156 0.250
Ga 0.688 0.844 0.750
Ga 0.844 0.156 0.250
Ga 0.844 0.688 0.250



# 9
VASP calculation (PBE-GGA) on a relaxed structure of PuGa3.

Output
For the volume, the calculation gives 19.61 Å³/atom. The calculation puts the calculated total energy at -6.222 eV/atom.

Cell: 10.205 10.205 10.205 Å, 35.09 35.09 35.09°
Sites, in units of the cell vectors:
Pu 0.128 0.128 0.128
Pu 0.289 0.289 0.289
Pu 0.711 0.711 0.711
Pu 0.872 0.872 0.872
Ga 0.154 0.610 0.610
Ga 0.208 0.208 0.709
Ga 0.208 0.709 0.208
Ga 0.291 0.792 0.792
Ga 0.390 0.390 0.846
Ga 0.390 0.846 0.390
Ga 0.610 0.154 0.610
Ga 0.610 0.610 0.154
Ga 0.709 0.208 0.208
Ga 0.792 0.291 0.792
Ga 0.792 0.792 0.291
Ga 0.846 0.390 0.390



# 10
VASP calculation (PBE-GGA) on a relaxed structure of PuGa.

Output
For the volume, the calculation gives 19.51 Å³/atom. Its spin magnetization is 1.479 μB/atom. The calculation puts the calculated total energy at -8.707 eV/atom.

Cell: 5.924 5.924 5.924 Å, 115.02 115.02 98.86°
Sites, in units of the cell vectors:
Pu 0.148 0.148 0.000
Pu 0.250 0.750 0.500
Pu 0.750 0.250 0.500
Pu 0.852 0.852 0.000
Ga 0.300 0.300 0.600
Ga 0.300 0.700 0.000
Ga 0.700 0.300 0.000
Ga 0.700 0.700 0.400



# 11
VASP calculation (PBE-GGA) on a relaxed structure of PuGa.

Output
For the volume, the calculation gives 21.49 Å³/atom. Its spin magnetization is 2.723 μB/atom. The calculation puts the calculated total energy at -8.994 eV/atom.

Cell: 3.088 3.088 4.508 Å, 90.00 90.00 90.17°
Sites, in units of the cell vectors:
Pu 0.000 0.000 0.000
Ga 0.500 0.500 0.500



# 12
VASP calculation (PBE-GGA) on a relaxed structure of PuGa.

Output
For the volume, the calculation gives 17.15 Å³/atom. Its spin magnetization is 0.595 μB/atom. The calculation puts the calculated total energy at -8.588 eV/atom.

Cell: 2.713 2.713 5.342 Å, 90.00 90.00 119.25°
Sites, in units of the cell vectors:
Pu 0.000 0.000 0.000
Ga 0.500 0.500 0.500